A relaxed CaAl2Si6H10O21 crystal. Source: the Materials Project, functional PBE.

Cell: 17.579 7.363 7.521 Å, 74.61 90.00 90.00°
Fractional coordinates of all 80 atoms:
Ca 0.786 0.696 0.348
Ca 0.286 0.304 0.652
Al 0.161 0.237 0.068
Al 0.661 0.763 0.932
Al 0.430 0.911 0.747
Al 0.930 0.089 0.253
Si 0.054 0.777 0.759
Si 0.554 0.223 0.241
Si 0.429 0.900 0.317
Si 0.929 0.100 0.683
Si 0.299 0.977 0.022
Si 0.799 0.023 0.978
Si 0.085 0.870 0.337
Si 0.585 0.130 0.663
Si 0.171 0.668 0.089
Si 0.671 0.332 0.911
Si 0.500 0.638 0.103
Si 0.000 0.362 0.897
H 0.926 0.498 0.197
H 0.426 0.502 0.803
H 0.947 0.693 0.239
H 0.447 0.307 0.761
H 0.299 0.728 0.617
H 0.799 0.272 0.383
H 0.620 0.689 0.325
H 0.120 0.311 0.675
H 0.375 0.511 0.326
H 0.875 0.489 0.674
H 0.707 0.939 0.555
H 0.207 0.061 0.445
H 0.134 0.432 0.468
H 0.634 0.568 0.532
H 0.212 0.694 0.633
H 0.712 0.306 0.367
H 0.303 0.435 0.243
H 0.803 0.565 0.757
H 0.793 0.978 0.572
H 0.293 0.022 0.428
O 0.500 0.408 0.174
O 0.000 0.592 0.826
O 0.125 0.767 0.900
O 0.625 0.233 0.100
O 0.997 0.906 0.280
O 0.497 0.094 0.720
O 0.001 0.960 0.747
O 0.501 0.040 0.253
O 0.958 0.301 0.096
O 0.458 0.699 0.904
O 0.349 0.997 0.837
O 0.849 0.003 0.163
O 0.187 0.446 0.122
O 0.687 0.554 0.878
O 0.586 0.719 0.095
O 0.086 0.281 0.905
O 0.154 0.331 0.567
O 0.654 0.669 0.433
O 0.095 0.789 0.562
O 0.595 0.211 0.438
O 0.336 0.411 0.352
O 0.836 0.589 0.648
O 0.755 0.951 0.486
O 0.255 0.049 0.514
O 0.137 0.058 0.266
O 0.637 0.942 0.734
O 0.351 0.987 0.201
O 0.851 0.013 0.799
O 0.119 0.694 0.262
O 0.619 0.306 0.738
O 0.450 0.703 0.263
O 0.950 0.297 0.737
O 0.252 0.777 0.084
O 0.752 0.223 0.916
O 0.906 0.601 0.247
O 0.406 0.399 0.753
O 0.260 0.628 0.642
O 0.760 0.372 0.358
O 0.409 0.864 0.534
O 0.909 0.136 0.466
O 0.741 0.843 0.033
O 0.241 0.157 0.967

Results
- density (Mg/m³) = 2.153
- SG = No. 4
- total moment (μB per atom) = 0.0000
- energy with MP2020 corrections (eV per atom) = -7.0600